Arrangement w

# La2Cu2O5

An optimized crystal structure of La2Cu2O5 (PBE, the Materials Project).

```
data_La2Cu2O5
_chemical_formula_sum 'La4 Cu4 O10'
_cell_length_a 6.6608
_cell_length_b 6.6608
_cell_length_c 5.5950
_cell_angle_alpha 90.00
_cell_angle_beta 90.00
_cell_angle_gamma 90.00
_symmetry_space_group_name_H-M 'P 42/m'
_symmetry_Int_Tables_number 84
_symmetry_space_group_name_Hall '-P 4c'
loop_
_atom_site_label
_atom_site_fract_x
_atom_site_fract_y
_atom_site_fract_z
La1 0.1108 0.2661 0.0000
Cu1 0.3129 0.4104 0.5000
O1 0.0000 0.0000 0.2500
O2 0.2122 0.5932 0.2411
```

Arrangement x

# La2Cu2O5

An optimized crystal structure of La2Cu2O5 (PBE, the Materials Project).

```
data_La2Cu2O5
_chemical_formula_sum 'La24 Cu24 O60'
_cell_length_a 13.9416
_cell_length_b 3.7719
_cell_length_c 27.5713
_cell_angle_alpha 90.00
_cell_angle_beta 102.86
_cell_angle_gamma 90.00
_symmetry_space_group_name_H-M 'C 1 2/c 1'
_symmetry_Int_Tables_number 15
_symmetry_space_group_name_Hall '-C 2yc'
loop_
_atom_site_label
_atom_site_fract_x
_atom_site_fract_y
_atom_site_fract_z
La1 0.1246 0.2430 0.4028
La2 0.1385 0.2683 0.2686
La3 0.1537 0.2869 0.1346
Cu1 0.0070 0.2342 0.6809
Cu2 0.0125 0.2573 0.5398
Cu3 0.1839 0.1157 0.0288
O1 0.0000 0.2334 0.7500
O2 0.0078 0.2666 0.1810
O3 0.0124 0.2449 0.6109
O4 0.0425 0.2448 0.0360
O5 0.1704 0.2729 0.9609
O6 0.1721 0.2056 0.8374
O7 0.1876 0.2200 0.7089
O8 0.2035 0.1950 0.5874
```

Arrangement y

# La2Cu2O5

An optimized crystal structure of La2Cu2O5 (PBE, the Materials Project).

```
data_La2Cu2O5
_chemical_formula_sum 'La4 Cu4 O10'
_cell_length_a 5.4857
_cell_length_b 10.5442
_cell_length_c 3.9254
_cell_angle_alpha 90.00
_cell_angle_beta 90.00
_cell_angle_gamma 90.00
_symmetry_space_group_name_H-M 'P b a m'
_symmetry_Int_Tables_number 55
_symmetry_space_group_name_Hall '-P 2 2ab'
loop_
_atom_site_label
_atom_site_fract_x
_atom_site_fract_y
_atom_site_fract_z
La1 0.1941 0.1370 0.0000
Cu1 0.2038 0.3950 0.5000
O1 0.0000 0.0000 0.5000
O2 0.0831 0.7093 0.5000
O3 0.2142 0.3959 0.0000
```

Most stable of them? arrangement w.

Arrangement w

# La6Cu6O17

An optimized crystal structure of La6Cu6O17 (PBE, the Materials Project).

```
data_La6Cu6O17
_chemical_formula_sum 'La12 Cu12 O34'
_cell_length_a 6.7416
_cell_length_b 11.7490
_cell_length_c 10.5251
_cell_angle_alpha 90.00
_cell_angle_beta 96.18
_cell_angle_gamma 90.00
_symmetry_space_group_name_H-M 'C 1 2/m 1'
_symmetry_Int_Tables_number 12
_symmetry_space_group_name_Hall '-C 2y'
loop_
_atom_site_label
_atom_site_fract_x
_atom_site_fract_y
_atom_site_fract_z
La1 0.0255 0.0000 0.2422
La2 0.0282 0.3335 0.2601
Cu1 0.0000 0.1631 0.5000
Cu2 0.0000 0.5000 0.0000
Cu3 0.0000 0.5000 0.5000
Cu4 0.2500 0.2500 0.0000
O1 0.0000 0.0000 0.5000
O2 0.0000 0.3311 0.5000
O3 0.0000 0.3345 0.0000
O4 0.1176 0.1622 0.6667
O5 0.1329 0.5000 0.6634
O6 0.1744 0.5000 0.1489
O7 0.1845 0.1693 0.1428
```

Arrangement x

# La6Cu6O17

An optimized crystal structure of La6Cu6O17 (PBE, the Materials Project).

```
data_La6Cu6O17
_chemical_formula_sum 'La6 Cu6 O17'
_cell_length_a 6.7584
_cell_length_b 6.7584
_cell_length_c 10.4694
_cell_angle_alpha 90.00
_cell_angle_beta 90.00
_cell_angle_gamma 120.00
_symmetry_space_group_name_H-M 'P 3 1 2'
_symmetry_Int_Tables_number 149
_symmetry_space_group_name_Hall 'P 3 2'
loop_
_atom_site_label
_atom_site_fract_x
_atom_site_fract_y
_atom_site_fract_z
La1 0.0000 0.0000 0.2096
La2 0.3333 0.6667 0.2535
La3 0.6667 0.3333 0.2694
Cu1 0.1625 0.3250 0.5000
Cu2 0.5012 0.0025 0.0000
O1 0.0000 0.0000 0.0000
O2 0.0000 0.0000 0.5000
O3 0.0021 0.3242 0.3531
O4 0.3333 0.6667 0.0000
O5 0.3333 0.6667 0.5000
O6 0.3678 0.0047 0.8436
O7 0.6667 0.3333 0.0000
```

Most stable of them? arrangement w.

Arrangement w

# SrLaCuRuO6

An optimized crystal structure of SrLaCuRuO6 (PBE, the Materials Project).

```
data_SrLaCuRuO6
_chemical_formula_sum 'Sr7 La7 Cu7 Ru7 O42'
_cell_length_a 5.5629
_cell_length_b 5.5742
_cell_length_c 32.4273
_cell_angle_alpha 85.97
_cell_angle_beta 85.97
_cell_angle_gamma 61.28
_symmetry_space_group_name_H-M 'P 1'
_symmetry_Int_Tables_number 1
_symmetry_space_group_name_Hall 'P 1'
loop_
_atom_site_label
_atom_site_fract_x
_atom_site_fract_y
_atom_site_fract_z
Sr1 0.0000 0.0000 0.0000
Sr2 0.0761 0.0761 0.7864
Sr3 0.2184 0.2193 0.3580
Sr4 0.3602 0.3576 0.9267
Sr5 0.5080 0.5050 0.4997
Sr6 0.6417 0.6421 0.0747
Sr7 0.7925 0.7904 0.6425
La1 0.1533 0.1524 0.5720
La2 0.2802 0.2929 0.1397
La3 0.4401 0.4396 0.7140
La4 0.5801 0.5724 0.2856
La5 0.7207 0.7230 0.8582
La6 0.8686 0.8698 0.4293
La7 0.9390 0.9289 0.2078
Cu1 0.0482 0.0357 0.8933
Cu2 0.1902 0.1879 0.4645
Cu3 0.4728 0.4746 0.6073
Cu4 0.6127 0.6024 0.1772
Cu5 0.7610 0.7571 0.7503
Cu6 0.8977 0.9002 0.3211
Cu7 0.9752 0.9519 0.1070
Ru1 0.1125 0.1111 0.6785
Ru2 0.2557 0.2496 0.2496
Ru3 0.3240 0.3211 0.0348
Ru4 0.3973 0.3970 0.8205
Ru5 0.5393 0.5416 0.3920
Ru6 0.6791 0.6789 0.9640
Ru7 0.8273 0.8248 0.5352
O1 0.0109 0.8478 0.7109
O2 0.0183 0.5808 0.7977
O3 0.0433 0.4775 0.9909
O4 0.0954 0.2099 0.0708
O5 0.1017 0.5113 0.2933
O6 0.1393 0.6751 0.0608
O7 0.1598 0.9898 0.2811
O8 0.1615 0.7220 0.3688
O9 0.1791 0.6221 0.5610
O10 0.2206 0.3370 0.6416
O11 0.2277 0.6668 0.8634
O12 0.2482 0.8504 0.6316
O13 0.2957 0.1366 0.8536
O14 0.3152 0.7638 0.1372
O15 0.3243 0.8624 0.9386
O16 0.3526 0.5007 0.2147
O17 0.3727 0.8076 0.4349
O18 0.3940 0.9988 0.2020
O19 0.4374 0.2784 0.4246
O20 0.4513 0.0055 0.5117
O21 0.4662 0.9064 0.7040
O22 0.5028 0.6281 0.7841
O23 0.5228 0.9584 0.0083
O24 0.5350 0.1388 0.7739
O25 0.5584 0.4422 0.9993
O26 0.5890 0.1730 0.0792
O27 0.6284 0.0529 0.2706
O28 0.6427 0.7629 0.3536
O29 0.6591 0.0918 0.5781
O30 0.6756 0.2751 0.3454
O31 0.7265 0.5632 0.5679
O32 0.7388 0.2921 0.6542
O33 0.7433 0.2038 0.8480
O34 0.7910 0.9100 0.9284
O35 0.8112 0.2450 0.1493
O36 0.8266 0.4188 0.9189
O37 0.8493 0.7259 0.1442
O38 0.8818 0.4379 0.2252
O39 0.8877 0.3388 0.4186
O40 0.9329 0.0525 0.4982
O41 0.9434 0.3756 0.7215
O42 0.9623 0.5659 0.4884
```

Arrangement x

# SrLaCuRuO6

An optimized crystal structure of SrLaCuRuO6 (PBE, the Materials Project).

```
data_SrLaCuRuO6
_chemical_formula_sum 'Sr2 La2 Cu2 Ru2 O12'
_cell_length_a 5.7034
_cell_length_b 5.8124
_cell_length_c 9.5742
_cell_angle_alpha 90.00
_cell_angle_beta 126.37
_cell_angle_gamma 90.00
_symmetry_space_group_name_H-M 'P 1 c 1'
_symmetry_Int_Tables_number 7
_symmetry_space_group_name_Hall 'P -2yc'
loop_
_atom_site_label
_atom_site_fract_x
_atom_site_fract_y
_atom_site_fract_z
Sr1 0.0000 0.2165 0.0000
La1 0.5132 0.3043 0.4986
Cu1 0.2558 0.2353 0.7489
Ru1 0.7542 0.2407 0.2513
O1 0.0961 0.2318 0.5007
O2 0.4365 0.2767 0.0013
O3 0.5158 0.0527 0.2965
O4 0.5896 0.4885 0.7951
O5 0.8983 0.0398 0.7089
O6 0.9868 0.4545 0.2151
```

Most stable of them? arrangement x.

Arrangement w

# LiNbCuO4

An optimized crystal structure of LiNbCuO4 (PBE, the Materials Project).

```
data_LiNbCuO4
_chemical_formula_sum 'Li4 Nb4 Cu4 O16'
_cell_length_a 6.2240
_cell_length_b 6.2240
_cell_length_c 8.2335
_cell_angle_alpha 90.00
_cell_angle_beta 90.00
_cell_angle_gamma 90.00
_symmetry_space_group_name_H-M 'P 43 2 2'
_symmetry_Int_Tables_number 95
_symmetry_space_group_name_Hall 'P 4cw 2c'
loop_
_atom_site_label
_atom_site_fract_x
_atom_site_fract_y
_atom_site_fract_z
Li1 0.0000 0.2170 0.0000
Nb1 0.2125 0.5000 0.2500
Cu1 0.2568 0.2568 0.6250
O1 0.0190 0.2628 0.2600
O2 0.2654 0.4757 0.0089
```

Arrangement x

# LiNbCuO4

An optimized crystal structure of LiNbCuO4 (PBE, the Materials Project).

```
data_LiNbCuO4
_chemical_formula_sum 'Li4 Nb4 Cu4 O16'
_cell_length_a 5.8188
_cell_length_b 5.8188
_cell_length_c 9.7038
_cell_angle_alpha 90.00
_cell_angle_beta 90.00
_cell_angle_gamma 90.00
_symmetry_space_group_name_H-M 'P 43 2 2'
_symmetry_Int_Tables_number 95
_symmetry_space_group_name_Hall 'P 4cw 2c'
loop_
_atom_site_label
_atom_site_fract_x
_atom_site_fract_y
_atom_site_fract_z
Li1 0.0000 0.2401 0.0000
Nb1 0.2585 0.2585 0.6250
Cu1 0.2394 0.5000 0.2500
O1 0.0030 0.2585 0.2591
O2 0.2594 0.4810 0.9903
```

Most stable of them? arrangement x.

Arrangement w

# LiCu3O3

An optimized crystal structure of LiCu3O3 (PBE, the Materials Project).

```
data_LiCu3O3
_chemical_formula_sum 'Li1 Cu3 O3'
_cell_length_a 4.0594
_cell_length_b 4.0594
_cell_length_c 4.0594
_cell_angle_alpha 90.00
_cell_angle_beta 90.00
_cell_angle_gamma 90.00
_symmetry_space_group_name_H-M 'P m -3 m'
_symmetry_Int_Tables_number 221
_symmetry_space_group_name_Hall '-P 4 2 3'
loop_
_atom_site_label
_atom_site_fract_x
_atom_site_fract_y
_atom_site_fract_z
Li1 0.0000 0.0000 0.0000
Cu1 0.0000 0.5000 0.5000
O1 0.0000 0.0000 0.5000
```

Arrangement x

# LiCu3O3

An optimized crystal structure of LiCu3O3 (PBE, the Materials Project).

```
data_LiCu3O3
_chemical_formula_sum 'Li1 Cu3 O3'
_cell_length_a 2.8551
_cell_length_b 2.8551
_cell_length_c 8.7996
_cell_angle_alpha 90.00
_cell_angle_beta 90.00
_cell_angle_gamma 90.00
_symmetry_space_group_name_H-M 'P 4 m m'
_symmetry_Int_Tables_number 99
_symmetry_space_group_name_Hall 'P 4 -2'
loop_
_atom_site_label
_atom_site_fract_x
_atom_site_fract_y
_atom_site_fract_z
Li1 0.0000 0.0000 0.0000
Cu1 0.0000 0.0000 0.4751
Cu2 0.5000 0.5000 0.2309
Cu3 0.5000 0.5000 0.7718
O1 0.0000 0.0000 0.7448
O2 0.5000 0.5000 0.0265
O3 0.5000 0.5000 0.4452
```

Most stable of them? arrangement w.